[1]
The following is a DFT calculation (PBE) of a relaxed CuPbO2 crystal.

```
CuPbO2
1.0
-2.4406 -2.0080 4.7301
-5.3644 -0.5953 -1.7975
4.7833 -2.1599 -2.1948
Cu Pb O
2 2 4
direct
0.0000 0.0000 0.0000
0.5000 0.5000 0.0000
0.2500 0.7618 0.5118
0.7500 0.2382 0.4882
0.6662 0.6662 0.5000
0.3338 0.3338 0.5000
0.1662 0.6662 0.0000
0.8338 0.3338 0.0000
```

Output
* symmetry: Imma (74)
* spin magnetization: 0.009 μB/atom
* calculated formation energy: -1.16 eV/atom



[2]
The following is a DFT calculation (PBE) of a relaxed Cu6PbO8 crystal.

```
Cu6PbO8
1.0
-2.9734 3.0946 4.4601
2.9734 -3.0946 4.4601
2.9734 3.0946 -4.4601
Cu Pb O
6 1 8
direct
0.5000 0.5000 0.5000
0.0000 0.5000 0.0000
0.5000 0.0000 0.0000
0.5000 0.0000 0.5000
0.5000 0.5000 0.0000
0.0000 0.0000 0.5000
0.0000 0.0000 0.0000
0.7312 0.2312 0.5000
0.7402 0.7402 0.0000
0.2795 0.7528 0.0323
0.7205 0.7528 0.4733
0.2795 0.2472 0.5267
0.7205 0.2472 0.9677
0.2598 0.2598 0.0000
0.2688 0.7688 0.5000
```

Output
* symmetry: Immm (71)
* spin magnetization: 0.193 μB/atom
* calculated formation energy: -0.80 eV/atom